Density functional theory data (PBE-GGA) for crystalline GeAs2O9 at its relaxed geometry.

Symmetry: P2_1/c (14)
Formation enthalpy at 0 K (eV/atom): -1.063
Total moment (μB per formula unit): 2.00

```
GeAs2O9
1.0
0.8313 -2.7710 4.7739
-7.1034 2.7535 2.8352
-6.7665 -14.8623 -7.4487
O As Ge
36 8 4
Cartesian
-4.4726 -7.8630 2.4059 O
-2.4466 -8.5473 0.9212 O
-11.5387 -9.5660 -2.2615 O
-8.5644 -10.7992 -1.5987 O
-11.0152 -11.4483 1.7148 O
-4.1273 -9.5585 -0.8698 O
-5.5472 0.5827 3.5833 O
-6.8582 -13.5523 -1.4122 O
-6.1805 -1.3276 1.5725 O
-1.3010 -2.0628 1.9569 O
-4.2341 -6.7227 -0.1811 O
-1.5253 -3.2508 4.6260 O
-6.8484 -14.5749 -6.0747 O
-8.5240 -11.0713 -0.3966 O
-8.8046 -8.1572 0.3414 O
-11.7376 -12.8170 -1.7966 O
-8.9114 -5.3214 1.0302 O
-4.0575 -1.5449 5.6406 O
-10.5921 -6.3326 -0.7609 O
-7.4950 -7.2043 2.6659 O
-7.1196 -4.4346 3.1961 O
-9.5245 -14.1251 -2.2065 O
-5.5436 -7.6756 -2.5056 O
-8.9812 -13.3349 -5.4803 O
-11.5134 -11.6290 -4.4657 O
-1.4999 -5.3138 2.4218 O
-6.9051 -6.1396 -0.2909 O
-4.5147 -3.8086 0.5569 O
-3.5142 -0.7547 2.3668 O
-6.1336 -8.7403 0.4512 O
-4.4742 -4.0806 1.7590 O
-6.1903 -0.3049 6.2350 O
-8.5661 -7.0168 -2.2456 O
-5.9191 -10.4453 -3.0358 O
-7.4915 -15.4626 -3.4229 O
-2.0234 -3.4315 -1.5545 O
-7.9251 -14.7239 -1.7709 As
-8.2211 -5.4911 2.6390 As
-0.6168 -2.2906 3.5191 As
-4.8176 -9.3888 -2.4787 As
-12.4219 -12.5892 -3.3588 As
-7.5125 -8.4758 1.4376 As
-5.1135 -0.1559 1.9312 As
-5.5262 -6.4041 -1.2773 As
-8.8063 -6.4691 -0.4255 Ge
-1.9132 -0.2752 1.6409 Ge
-4.2323 -8.4107 0.5859 Ge
-11.1254 -14.6047 -1.4805 Ge
```

=====

Density functional theory data (PBE-GGA) for crystalline ZnGeAsP at its relaxed geometry.

Symmetry: I2_12_12_1 (24)
Formation enthalpy at 0 K (eV/atom): -0.179
Total moment (μB per formula unit): 0.00

```
ZnGeAsP
1.0
-2.8019 2.8197 5.5579
2.8019 -2.8197 5.5579
2.8019 2.8197 -5.5579
Ge As P Zn
2 2 2 2
Cartesian
2.8019 1.4098 1.3374 Ge
2.8019 -1.4098 4.2205 Ge
-1.3958 2.8197 2.7789 As
1.3958 0.0000 2.7789 As
1.4010 2.7873 0.0000 P
4.2029 0.0324 0.0000 P
0.0000 1.4098 4.2358 Zn
0.0000 4.2295 1.3221 Zn
```

=====

| no. | uncorrected energy (eV/atom) |
| --- | --- |
| 1 | -5.815 |
| 2 | -4.168 |